(1)
A plane-wave DFT calculation with PBE was carried out for a relaxed structure of CsMgInF6.

a = 7.6509 Å, b = 7.6509 Å, c = 7.6509 Å
α = 121.15°, β = 118.37°, γ = 90.43°
Last column: nearest neighbours and their distance in Å.
Sites, in units of the cell vectors:
Cs 0.3567 0.1067 0.2500  10 F 3.29-3.62
Cs 0.6433 0.8933 0.7500  10 F 3.29-3.62
Mg 0.0000 0.0000 0.5000  6 F 1.96-2.04
Mg 0.0000 0.5000 0.0000  6 F 1.96-2.04
In 0.0000 0.5000 0.5000  6 F 2.08-2.15
In 0.5000 0.5000 0.0000  6 F 2.08-2.15
F 0.0512 0.8012 0.2500  2 Mg 1.96
F 0.0575 0.4178 0.2315  1 Mg 2.04, 1 In 2.08
F 0.0575 0.8260 0.6398  1 Mg 2.04, 1 In 2.08
F 0.3138 0.1740 0.7315  1 Mg 2.04, 1 In 2.08
F 0.3138 0.5822 0.1398  1 Mg 2.04, 1 In 2.08
F 0.3327 0.5827 0.7500  2 In 2.15
F 0.6673 0.4173 0.2500  2 In 2.15
F 0.6862 0.4178 0.8602  1 Mg 2.04, 1 In 2.08
F 0.6862 0.8260 0.2685  1 Mg 2.04, 1 In 2.08
F 0.9425 0.1740 0.3602  1 Mg 2.04, 1 In 2.08
F 0.9425 0.5822 0.7685  1 Mg 2.04, 1 In 2.08
F 0.9488 0.1988 0.7500  2 Mg 1.96

- Energy with MP2020 corrections: -92.06 eV per cell
- Theoretical density: 4.04 g/cm3
- Spin magnetization: 0.00 μB per cell
- DFT formation energy: -3.25 eV per atom
- Space group: Imma

***

(2)
A plane-wave DFT calculation with PBE was carried out for a relaxed structure of Pd2N.

a = 2.6635 Å, b = 2.6635 Å, c = 15.8398 Å
α = 90.00°, β = 90.00°, γ = 90.00°
Last column: nearest neighbours and their distance in Å.
Sites, in units of the cell vectors:
Pd 0.0000 0.0000 0.0814  6 Pd 2.57-2.66
Pd 0.0000 0.0000 0.2439  5 Pd 2.57-2.66
Pd 0.0000 0.0000 0.7561  5 Pd 2.57-2.66
Pd 0.0000 0.0000 0.9186  6 Pd 2.57-2.66
N 0.5000 0.5000 0.4649  1 N 1.11
N 0.5000 0.5000 0.5351  1 N 1.11

- Energy with MP2020 corrections: -34.77 eV per cell
- Theoretical density: 6.70 g/cm3
- Polymorph energy (0 for the lowest one): 0 meV per atom
- Spin magnetization: 0.10 μB per cell
- DFT formation energy: 0.44 eV per atom
- Space group: P4/mmm

***

(3)
A plane-wave DFT calculation with PBE was carried out for a relaxed structure of UPCl10.

a = 7.4338 Å, b = 7.7750 Å, c = 14.3671 Å
α = 91.09°, β = 91.09°, γ = 105.65°
Last column: nearest neighbours and their distance in Å.
Sites, in units of the cell vectors:
U 0.0000 0.0000 0.0000  6 Cl 2.53-2.55
U 0.0000 0.0000 0.5000  6 Cl 2.53-2.55
P 0.3832 0.5878 0.2617  4 Cl 1.95-1.96
P 0.6168 0.4122 0.7383  4 Cl 1.95-1.96
Cl 0.1131 0.2816 0.6022  1 U 2.55
Cl 0.1145 0.0035 0.1669  1 U 2.53
Cl 0.1336 0.8231 0.6165  1 U 2.54
Cl 0.1417 0.5233 0.1956  1 P 1.95
Cl 0.2325 0.2999 0.9759  1 U 2.53
Cl 0.2386 0.8395 0.9469  1 U 2.55
Cl 0.3108 0.0807 0.4196  1 U 2.53
Cl 0.3440 0.5841 0.3958  1 P 1.95
Cl 0.4745 0.1740 0.7737  1 P 1.95
Cl 0.4784 0.5844 0.7726  1 P 1.96
Cl 0.5216 0.4156 0.2274  1 P 1.96
Cl 0.5255 0.8260 0.2263  1 P 1.95
Cl 0.6560 0.4159 0.6042  1 P 1.95
Cl 0.6892 0.9193 0.5804  1 U 2.53
Cl 0.7614 0.1605 0.0531  1 U 2.55
Cl 0.7675 0.7001 0.0241  1 U 2.53
Cl 0.8583 0.4767 0.8044  1 P 1.95
Cl 0.8664 0.1769 0.3835  1 U 2.54
Cl 0.8855 0.9965 0.8331  1 U 2.53
Cl 0.8869 0.7184 0.3978  1 U 2.55

- Energy with MP2020 corrections: -110.76 eV per cell
- Theoretical density: 2.59 g/cm3
- DFT formation energy: -1.68 eV per atom
- Space group: P-1

***

(4)
A plane-wave DFT calculation with PBE was carried out for a relaxed structure of Ac2CuIr.

a = 5.2945 Å, b = 5.2945 Å, c = 5.2945 Å
α = 60.00°, β = 60.00°, γ = 60.00°
Last column: nearest neighbours and their distance in Å.
Sites, in units of the cell vectors:
Ac 0.2500 0.2500 0.2500  4 Ir 3.24, 4 Cu 3.24
Ac 0.7500 0.7500 0.7500  4 Cu 3.24, 4 Ir 3.24
Cu 0.0000 0.0000 0.0000  8 Ac 3.24
Ir 0.5000 0.5000 0.5000  8 Ac 3.24

- Theoretical density: 11.23 g/cm3
- DFT formation energy: -0.32 eV per atom
- Space group: Fm-3m

***

(5)
A plane-wave DFT calculation with PBE was carried out for a relaxed structure of HfMg3O4.

a = 4.4189 Å, b = 4.4189 Å, c = 4.4189 Å
α = 90.00°, β = 90.00°, γ = 90.00°
Last column: nearest neighbours and their distance in Å.
Sites, in units of the cell vectors:
Hf 0.0000 0.0000 0.0000  6 O 2.21
Mg 0.0000 0.5000 0.5000  6 O 2.21
Mg 0.5000 0.0000 0.5000  6 O 2.21
Mg 0.5000 0.5000 0.0000  6 O 2.21
O 0.0000 0.0000 0.5000  2 Hf 2.21, 4 Mg 2.21
O 0.0000 0.5000 0.0000  2 Hf 2.21, 4 Mg 2.21
O 0.5000 0.0000 0.0000  2 Hf 2.21, 4 Mg 2.21
O 0.5000 0.5000 0.5000  6 Mg 2.21

- Energy with MP2020 corrections: -55.67 eV per cell
- Theoretical density: 6.07 g/cm3
- Spin magnetization: 0.00 μB per cell
- DFT formation energy: -2.64 eV per atom
- Space group: Pm-3m

***

(6)
A plane-wave DFT calculation with PBE was carried out for a relaxed structure of W2Se3S.

a = 3.2862 Å, b = 3.2862 Å, c = 37.4474 Å
α = 90.00°, β = 90.00°, γ = 120.00°
Last column: nearest neighbours and their distance in Å.
Sites, in units of the cell vectors:
W 0.0000 0.0000 0.0000  6 Se 2.55
W 0.0000 0.0000 0.3757  6 Se 2.55
W 0.3333 0.6667 0.1879  6 S 2.44
W 0.3333 0.6667 0.5636  6 Se 2.55
Se 0.0000 0.0000 0.5183  3 W 2.55
Se 0.0000 0.0000 0.6089  3 W 2.55
Se 0.3333 0.6667 0.0453  3 W 2.55
Se 0.3333 0.6667 0.3304  3 W 2.55
Se 0.3333 0.6667 0.4210  3 W 2.55
Se 0.3333 0.6667 0.9547  3 W 2.55
S 0.0000 0.0000 0.1467  3 W 2.44
S 0.0000 0.0000 0.2290  3 W 2.44

- Energy with MP2020 corrections: -89.43 eV per cell
- Theoretical density: 6.04 g/cm3
- Spin magnetization: 0.00 μB per cell
- DFT formation energy: -0.70 eV per atom
- Space group: P3m1

***

(7)
A plane-wave DFT calculation with PBE was carried out for a relaxed structure of CsK2Rb.

a = 7.9025 Å, b = 7.9025 Å, c = 7.9025 Å
α = 60.00°, β = 60.00°, γ = 60.00°
Last column: nearest neighbours and their distance in Å.
Sites, in units of the cell vectors:
Cs 0.0000 0.0000 0.0000  8 K 4.84
K 0.2500 0.2500 0.2500  4 Rb 4.84, 4 Cs 4.84
K 0.7500 0.7500 0.7500  4 Rb 4.84, 4 Cs 4.84
Rb 0.5000 0.5000 0.5000  8 K 4.84

- Theoretical density: 1.41 g/cm3
- Spin magnetization: 0.00 μB per cell
- DFT formation energy: 0.03 eV per atom
- Space group: Fm-3m

***

(8)
A plane-wave DFT calculation with PBE was carried out for a relaxed structure of ErTmTl2.

a = 5.3244 Å, b = 5.3244 Å, c = 5.3244 Å
α = 60.00°, β = 60.00°, γ = 60.00°
Last column: nearest neighbours and their distance in Å.
Sites, in units of the cell vectors:
Er 0.0000 0.0000 0.0000  8 Tl 3.26
Tm 0.5000 0.5000 0.5000  8 Tl 3.26
Tl 0.2500 0.2500 0.2500  4 Tm 3.26, 4 Er 3.26
Tl 0.7500 0.7500 0.7500  4 Tm 3.26, 4 Er 3.26

- Theoretical density: 11.59 g/cm3
- DFT formation energy: -0.30 eV per atom
- Space group: Fm-3m